[1]
# Sr4Ti3Nb2O15, optimized geometry, DFT PBE
data_Sr4Ti3Nb2O15
_space_group_name_H-M_alt 'P 1'
_space_group_IT_number 1
_space_group_name_Hall 'P 1'
_cell_length_a 11.9553
_cell_length_b 11.9553
_cell_length_c 11.9553
_cell_angle_alpha 27.18
_cell_angle_beta 27.18
_cell_angle_gamma 27.18
loop_
_atom_site_label
_atom_site_type_symbol
_atom_site_fract_x
_atom_site_fract_y
_atom_site_fract_z
O1 O 0.8998 0.4087 0.8998
O2 O 0.6996 0.2002 0.6996
O3 O 0.2002 0.6996 0.6996
O4 O 0.3004 0.3004 0.7998
O5 O 0.5913 0.1002 0.1002
O6 O 0.4087 0.8998 0.8998
O7 O 0.1002 0.1002 0.5913
O8 O 0.1002 0.5913 0.1002
O9 O 0.6996 0.6996 0.2002
O10 O 0.7998 0.3004 0.3004
O11 O 0.5000 0.0000 0.5000
O12 O 0.8998 0.8998 0.4087
O13 O 0.5000 0.5000 0.0000
O14 O 0.3004 0.7998 0.3004
O15 O 0.0000 0.5000 0.5000
Nb1 Nb 0.2997 0.2997 0.2997
Nb2 Nb 0.7003 0.7003 0.7003
Ti1 Ti 0.1003 0.1003 0.1003
Ti2 Ti 0.5000 0.5000 0.5000
Ti3 Ti 0.8997 0.8997 0.8997
Sr1 Sr 0.5990 0.5990 0.5990
Sr2 Sr 0.4010 0.4010 0.4010
Sr3 Sr 0.8013 0.8013 0.8013
Sr4 Sr 0.1987 0.1987 0.1987
# Magnetization in μB per formula unit: 0.00

***

[2]
# ZnCuBi2O7, optimized geometry, DFT PBE
data_ZnCuBi2O7
_space_group_name_H-M_alt 'P 1'
_space_group_IT_number 1
_space_group_name_Hall 'P 1'
_cell_length_a 8.3328
_cell_length_b 10.4485
_cell_length_c 11.6788
_cell_angle_alpha 97.56
_cell_angle_beta 90.00
_cell_angle_gamma 90.00
loop_
_atom_site_label
_atom_site_type_symbol
_atom_site_fract_x
_atom_site_fract_y
_atom_site_fract_z
O1 O 0.9395 0.2777 0.6862
O2 O 0.7664 0.1465 0.1803
O3 O 0.5942 0.9422 0.0519
O4 O 0.4058 0.0578 0.9481
O5 O 0.7228 0.2392 0.9893
O6 O 0.4688 0.5614 0.8746
O7 O 0.7541 0.4348 0.8397
O8 O 0.0099 0.8296 0.5683
O9 O 0.9901 0.1704 0.4317
O10 O 0.2772 0.2392 0.4893
O11 O 0.0736 0.4731 0.8861
O12 O 0.5312 0.5614 0.3746
O13 O 0.4440 0.1964 0.2362
O14 O 0.0099 0.1704 0.9317
O15 O 0.4058 0.9422 0.5519
O16 O 0.8657 0.0000 0.7500
O17 O 0.0605 0.2777 0.1862
O18 O 0.2459 0.4348 0.3397
O19 O 0.5560 0.8036 0.7638
O20 O 0.1343 0.0000 0.2500
O21 O 0.4440 0.8036 0.2638
O22 O 0.9901 0.8296 0.0683
O23 O 0.0605 0.7223 0.3138
O24 O 0.9395 0.7223 0.8138
O25 O 0.2772 0.7608 0.0107
O26 O 0.2459 0.5652 0.1603
O27 O 0.5312 0.4386 0.1254
O28 O 0.5560 0.1964 0.7362
O29 O 0.7228 0.7608 0.5107
O30 O 0.6445 0.3229 0.4664
O31 O 0.2336 0.8535 0.8197
O32 O 0.6445 0.6771 0.0336
O33 O 0.3555 0.3229 0.9664
O34 O 0.7664 0.8535 0.3197
O35 O 0.7541 0.5652 0.6603
O36 O 0.9264 0.5269 0.1139
O37 O 0.4688 0.4386 0.6254
O38 O 0.3555 0.6771 0.5336
O39 O 0.5942 0.0578 0.4481
O40 O 0.9264 0.4731 0.3861
O41 O 0.2336 0.1465 0.6803
O42 O 0.0736 0.5269 0.6139
Bi1 Bi 0.7485 0.8311 0.1357
Bi2 Bi 0.7882 0.8075 0.6987
Bi3 Bi 0.2515 0.1689 0.8643
Bi4 Bi 0.7221 0.4831 0.0238
Bi5 Bi 0.2118 0.8075 0.1987
Bi6 Bi 0.2779 0.4831 0.5238
Bi7 Bi 0.7221 0.5169 0.4762
Bi8 Bi 0.2779 0.5169 0.9762
Bi9 Bi 0.2515 0.8311 0.6357
Bi10 Bi 0.7882 0.1925 0.8013
Bi11 Bi 0.7485 0.1689 0.3643
Bi12 Bi 0.2118 0.1925 0.3013
Cu1 Cu 0.9073 0.7917 0.4235
Cu2 Cu 0.5911 0.5000 0.7500
Cu3 Cu 0.0927 0.2083 0.5765
Cu4 Cu 0.4089 0.5000 0.2500
Cu5 Cu 0.0927 0.7917 0.9235
Cu6 Cu 0.9073 0.2083 0.0765
Zn1 Zn 0.9564 0.5000 0.7500
Zn2 Zn 0.4610 0.8650 0.9149
Zn3 Zn 0.5390 0.8650 0.4149
Zn4 Zn 0.0436 0.5000 0.2500
Zn5 Zn 0.5390 0.1350 0.0851
Zn6 Zn 0.4610 0.1350 0.5851
# Magnetization in μB per formula unit: 0.13

***

[3]
# Ba2LaIrO6, optimized geometry, DFT PBE
data_Ba2LaIrO6
_space_group_name_H-M_alt 'P 1'
_space_group_IT_number 1
_space_group_name_Hall 'P 1'
_cell_length_a 6.0933
_cell_length_b 6.0933
_cell_length_c 6.0933
_cell_angle_alpha 60.39
_cell_angle_beta 60.39
_cell_angle_gamma 60.39
loop_
_atom_site_label
_atom_site_type_symbol
_atom_site_fract_x
_atom_site_fract_y
_atom_site_fract_z
O1 O 0.3048 0.7266 0.2377
O2 O 0.2377 0.3048 0.7266
O3 O 0.7266 0.2377 0.3048
O4 O 0.7623 0.6952 0.2734
O5 O 0.2734 0.7623 0.6952
O6 O 0.6952 0.2734 0.7623
Ir1 Ir 0.5000 0.5000 0.5000
Ba1 Ba 0.7487 0.7487 0.7487
Ba2 Ba 0.2513 0.2513 0.2513
La1 La 0.0000 0.0000 0.0000
# Magnetization in μB per formula unit: 2.00
# Offset from the most stable computed form in eV/atom: 0.000

***

How do the records compare in ΔE_f? In the order shown, they have -3.4042 -1.1341 -2.7117 eV per atom.